[1]
Compound: LiMg2Ag
Source: Materials Project
Functional: r2SCAN
Structure: optimized geometry

Results
calculated formation energy	-0.198	eV/atom
total moment	0.00	μB per formula unit
density	3.74	g/cm3

Cell lengths 4.681, 4.681, 4.681 Å; angles 60.00, 60.00, 60.00 degrees
Positions (direct):
1 Ag 0.250 0.250 0.250
2 Li 0.750 0.750 0.750
3 Mg 0.000 0.000 0.000
4 Mg 0.500 0.500 0.500

[2]
Compound: MnTe2O5
Source: Materials Project
Functional: r2SCAN
Structure: optimized geometry

Results
calculated formation energy	-1.383	eV/atom
total moment	0.00	μB per formula unit
density	5.31	g/cm3

Cell lengths 6.079, 7.381, 10.882 Å; angles 90.00, 90.00, 90.00 degrees
Positions (direct):
1 Mn 0.750 0.000 0.942
2 O 0.550 0.845 0.064
3 O 0.750 0.500 0.063
4 Mn 0.750 0.500 0.442
5 O 0.950 0.155 0.064
6 O 0.690 0.808 0.790
7 O 0.810 0.192 0.790
8 O 0.050 0.844 0.936
9 O 0.450 0.156 0.936
10 Mn 0.250 0.500 0.558
11 Te 0.513 0.868 0.655
12 Te 0.013 0.632 0.845
13 O 0.808 0.308 0.289
14 O 0.308 0.192 0.211
15 O 0.950 0.344 0.564
16 Mn 0.250 0.000 0.058
17 Te 0.514 0.632 0.154
18 O 0.692 0.692 0.289
19 Te 0.987 0.132 0.655
20 O 0.050 0.655 0.436
21 Te 0.014 0.868 0.346
22 O 0.310 0.308 0.710
23 Te 0.487 0.368 0.845
24 O 0.190 0.692 0.710
25 O 0.450 0.345 0.436
26 O 0.250 0.000 0.437
27 O 0.550 0.656 0.564
28 Te 0.986 0.368 0.154
29 O 0.192 0.808 0.211
30 O 0.250 0.500 0.937
31 O 0.750 0.000 0.563
32 Te 0.486 0.132 0.346

[3]
Compound: Bi24Cl10O31
Source: Materials Project
Functional: r2SCAN
Structure: optimized geometry

Results
calculated formation energy	-1.376	eV/atom
total moment	0.00	μB per formula unit
density	8.17	g/cm3

Cell lengths 7.981, 10.075, 29.673 Å; angles 88.87, 90.00, 90.00 degrees
Positions (direct):
1 O 0.851 0.133 0.734
2 O 0.124 0.474 0.472
3 O 0.378 0.626 0.089
4 Bi 0.624 0.558 0.953
5 Bi 0.376 0.558 0.453
6 O 0.124 0.776 0.705
7 O 0.877 0.692 0.646
8 Bi 0.882 0.247 0.927
9 Cl 0.371 0.500 0.750
10 Bi 0.876 0.430 0.045
11 O 0.373 0.531 0.528
12 O 0.632 0.922 0.830
13 Cl 0.872 0.195 0.514
14 O 0.885 0.139 0.406
15 O 0.876 0.776 0.205
16 Bi 0.123 0.403 0.834
17 Bi 0.656 0.923 0.196
18 O 0.124 0.526 0.028
19 O 0.395 0.142 0.732
20 O 0.403 0.018 0.900
21 Bi 0.891 0.794 0.281
22 Bi 0.877 0.403 0.334
23 O 0.123 0.940 0.838
24 Bi 0.624 0.442 0.547
25 Bi 0.109 0.206 0.719
26 Bi 0.842 0.934 0.408
27 Bi 0.851 0.919 0.687
28 Bi 0.118 0.247 0.427
29 Bi 0.344 0.923 0.696
30 Cl 0.885 0.500 0.750
31 Bi 0.380 0.396 0.337
32 O 0.369 0.695 0.646
33 O 0.128 0.607 0.588
34 O 0.368 0.922 0.330
35 O 0.885 0.861 0.094
36 Bi 0.123 0.597 0.666
37 Bi 0.380 0.604 0.163
38 Bi 0.877 0.597 0.166
39 O 0.779 0.066 0.895
40 Bi 0.625 0.246 0.717
41 Bi 0.124 0.570 0.955
42 Cl 0.128 0.195 0.014
43 Bi 0.652 0.746 0.073
44 Bi 0.149 0.919 0.187
45 Cl 0.378 0.800 0.989
46 O 0.378 0.374 0.411
47 Cl 0.625 0.337 0.130
48 Cl 0.125 0.346 0.132
49 Bi 0.876 0.570 0.455
50 Bi 0.348 0.254 0.927
51 O 0.876 0.474 0.972
52 Bi 0.149 0.081 0.313
53 Bi 0.158 0.934 0.908
54 O 0.221 0.066 0.395
55 O 0.368 0.078 0.170
56 O 0.124 0.224 0.795
57 Cl 0.875 0.654 0.868
58 Cl 0.375 0.337 0.630
59 O 0.631 0.305 0.354
60 O 0.123 0.692 0.146
61 Bi 0.376 0.900 0.401
62 O 0.779 0.934 0.605
63 Bi 0.109 0.794 0.781
64 O 0.123 0.308 0.354
65 O 0.851 0.867 0.766
66 Cl 0.128 0.805 0.486
67 Bi 0.652 0.254 0.427
68 O 0.128 0.393 0.912
69 O 0.597 0.982 0.100
70 O 0.851 0.000 0.250
71 Bi 0.891 0.206 0.219
72 Bi 0.624 0.900 0.901
73 Cl 0.378 0.200 0.511
74 Bi 0.344 0.077 0.804
75 Cl 0.629 0.500 0.250
76 Bi 0.375 0.754 0.283
77 Cl 0.875 0.346 0.632
78 O 0.115 0.861 0.594
79 Bi 0.124 0.430 0.545
80 O 0.605 0.142 0.232
81 O 0.627 0.216 0.796
82 O 0.403 0.982 0.600
83 Bi 0.375 0.246 0.217
84 O 0.876 0.224 0.295
85 Bi 0.624 0.100 0.599
86 Cl 0.872 0.805 0.986
87 Cl 0.115 0.500 0.250
88 O 0.373 0.469 0.972
89 O 0.877 0.308 0.854
90 O 0.872 0.393 0.412
91 O 0.627 0.784 0.704
92 Bi 0.376 0.442 0.047
93 Bi 0.882 0.753 0.573
94 O 0.369 0.305 0.854
95 Bi 0.842 0.066 0.092
96 O 0.631 0.695 0.146
97 O 0.872 0.607 0.088
98 Cl 0.622 0.200 0.011
99 O 0.149 0.133 0.234
100 O 0.373 0.216 0.296
101 Bi 0.620 0.396 0.837
102 O 0.622 0.374 0.911
103 O 0.622 0.626 0.589
104 Cl 0.125 0.654 0.368
105 Cl 0.622 0.800 0.489
106 Bi 0.851 0.081 0.813
107 Cl 0.375 0.663 0.870
108 O 0.597 0.018 0.400
109 Bi 0.656 0.077 0.304
110 Bi 0.625 0.754 0.783
111 Cl 0.625 0.663 0.370
112 O 0.876 0.526 0.528
113 O 0.149 0.867 0.266
114 O 0.877 0.940 0.338
115 O 0.632 0.078 0.670
116 O 0.115 0.139 0.906
117 Bi 0.158 0.066 0.592
118 Bi 0.118 0.753 0.073
119 O 0.221 0.934 0.105
120 Bi 0.348 0.746 0.573
121 O 0.373 0.784 0.204
122 O 0.877 0.060 0.162
123 O 0.605 0.858 0.268
124 O 0.149 0.000 0.750
125 O 0.627 0.531 0.028
126 O 0.627 0.469 0.472
127 Bi 0.376 0.100 0.099
128 Bi 0.620 0.604 0.663
129 O 0.123 0.060 0.662
130 O 0.395 0.858 0.768

[4]
Compound: La3TlC
Source: Materials Project
Functional: r2SCAN
Structure: optimized geometry

Results
calculated formation energy	-0.433	eV/atom
total moment	0.00	μB per formula unit
density	7.30	g/cm3

Cell lengths 5.241, 5.241, 5.241 Å; angles 90.00, 90.00, 90.00 degrees
Positions (direct):
1 La 0.500 0.500 0.000
2 La 0.000 0.500 0.500
3 C 0.500 0.500 0.500
4 Tl 0.000 0.000 0.000
5 La 0.500 0.000 0.500

[5]
Compound: BaAgBi
Source: Materials Project
Functional: r2SCAN
Structure: optimized geometry

Results
calculated formation energy	-0.749	eV/atom
total moment	0.00	μB per formula unit
density	7.43	g/cm3

Cell lengths 4.988, 4.988, 9.414 Å; angles 90.00, 90.00, 120.00 degrees
Positions (direct):
1 Ba 0.000 0.000 0.500
2 Ag 0.333 0.667 0.250
3 Ba 0.000 0.000 0.000
4 Bi 0.333 0.667 0.750
5 Ag 0.667 0.333 0.750
6 Bi 0.667 0.333 0.250

[6]
Compound: Hg3SO6
Source: Materials Project
Functional: r2SCAN
Structure: optimized geometry

Results
calculated formation energy	-0.875	eV/atom
total moment	0.00	μB per formula unit
density	8.20	g/cm3

Cell lengths 7.110, 7.110, 10.133 Å; angles 90.00, 90.00, 120.00 degrees
Positions (direct):
1 Hg 0.709 0.000 0.333
2 S 0.000 0.232 0.667
3 O 0.525 0.672 0.381
4 Hg 0.494 0.689 0.650
5 O 0.853 0.328 0.285
6 Hg 0.194 0.506 0.317
7 O 0.147 0.475 0.048
8 O 0.702 0.588 0.097
9 O 0.298 0.886 0.237
10 O 0.806 0.964 0.072
11 S 0.232 0.000 0.333
12 Hg 0.506 0.194 0.683
13 S 0.768 0.768 0.000
14 O 0.159 0.194 0.738
15 O 0.841 0.036 0.595
16 O 0.036 0.842 0.405
17 O 0.328 0.853 0.715
18 Hg 0.311 0.806 0.984
19 O 0.964 0.806 0.928
20 Hg 0.689 0.494 0.350
21 O 0.114 0.412 0.570
22 Hg 0.291 0.291 0.000
23 Hg 0.000 0.709 0.667
24 O 0.886 0.298 0.763
25 O 0.194 0.159 0.262
26 O 0.412 0.114 0.430
27 O 0.672 0.525 0.619
28 Hg 0.806 0.311 0.016
29 O 0.475 0.147 0.952
30 O 0.588 0.702 0.903

[7]
Compound: Ga9Ir2
Source: Materials Project
Functional: r2SCAN
Structure: optimized geometry

Results
calculated formation energy	-0.325	eV/atom
total moment	0.00	μB per formula unit
density	9.31	g/cm3

Cell lengths 6.410, 6.430, 8.775 Å; angles 86.65, 90.00, 90.00 degrees
Positions (direct):
1 Ga 0.746 0.394 0.233
2 Ir 0.382 0.255 0.170
3 Ga 0.440 0.615 0.001
4 Ga 0.944 0.398 0.513
5 Ga 0.248 0.598 0.280
6 Ga 0.529 0.886 0.211
7 Ga 0.056 0.398 0.013
8 Ga 0.943 0.084 0.773
9 Ga 0.337 0.226 0.464
10 Ir 0.879 0.735 0.334
11 Ga 0.560 0.615 0.501
12 Ga 0.269 0.046 0.954
13 Ga 0.868 0.799 0.047
14 Ga 0.254 0.394 0.733
15 Ga 0.132 0.799 0.547
16 Ir 0.618 0.255 0.670
17 Ga 0.752 0.598 0.780
18 Ga 0.057 0.084 0.273
19 Ga 0.663 0.226 0.964
20 Ir 0.121 0.735 0.834
21 Ga 0.731 0.046 0.454
22 Ga 0.471 0.886 0.711

[8]
Compound: AsPd2
Source: Materials Project
Functional: r2SCAN
Structure: optimized geometry

Results
calculated formation energy	-0.359	eV/atom
total moment	0.00	μB per formula unit
density	10.16	g/cm3

Cell lengths 3.672, 6.660, 6.660 Å; angles 120.00, 90.00, 90.00 degrees
Positions (direct):
1 As 0.000 0.333 0.667
2 As 0.000 0.667 0.333
3 As 0.500 0.000 0.000
4 Pd 0.500 0.607 0.000
5 Pd 0.000 0.735 0.735
6 Pd 0.000 0.000 0.265
7 Pd 0.000 0.265 0.000
8 Pd 0.500 0.000 0.607
9 Pd 0.500 0.393 0.393

[9]
Compound: MgNbRh2
Source: Materials Project
Functional: r2SCAN
Structure: optimized geometry

Results
calculated formation energy	-0.520	eV/atom
total moment	0.00	μB per formula unit
density	8.68	g/cm3

Cell lengths 4.438, 4.438, 4.438 Å; angles 60.00, 60.00, 60.00 degrees
Positions (direct):
1 Nb 0.750 0.750 0.750
2 Rh 0.500 0.500 0.500
3 Mg 0.250 0.250 0.250
4 Rh 0.000 0.000 0.000

[10]
Compound: NaMn3O4
Source: Materials Project
Functional: r2SCAN
Structure: optimized geometry

Results
calculated formation energy	-2.030	eV/atom
total moment	0.00	μB per formula unit
density	4.90	g/cm3

Cell lengths 5.327, 5.327, 6.319 Å; angles 92.36, 92.36, 107.24 degrees
Positions (direct):
1 Mn 0.500 0.500 0.500
2 O 0.271 0.728 0.499
3 O 0.725 0.725 0.224
4 Mn 0.002 0.499 0.753
5 Mn 0.500 0.500 0.000
6 O 0.275 0.275 0.776
7 O 0.729 0.271 0.999
8 Mn 0.499 0.002 0.253
9 Na 0.000 0.000 0.000
10 O 0.730 0.272 0.501
11 Mn 0.501 0.998 0.747
12 O 0.725 0.725 0.724
13 O 0.272 0.730 0.001
14 Mn 0.998 0.501 0.247
15 Na 0.000 0.000 0.500
16 O 0.275 0.275 0.276

[11]
Compound: TlGaI4
Source: Materials Project
Functional: r2SCAN
Structure: optimized geometry

Results
calculated formation energy	-0.686	eV/atom
total moment	0.00	μB per formula unit
density	4.94	g/cm3

Cell lengths 8.004, 8.158, 16.184 Å; angles 84.46, 90.00, 90.00 degrees
Positions (direct):
1 I 0.609 0.578 0.778
2 I 0.853 0.139 0.911
3 Ga 0.358 0.244 0.361
4 I 0.348 0.011 0.839
5 Tl 0.506 0.743 0.362
6 Tl 0.494 0.257 0.638
7 Ga 0.858 0.756 0.139
8 I 0.737 0.577 0.031
9 I 0.353 0.861 0.589
10 I 0.109 0.422 0.722
11 I 0.263 0.423 0.969
12 Ga 0.642 0.756 0.639
13 I 0.652 0.989 0.161
14 I 0.891 0.578 0.278
15 I 0.391 0.422 0.222
16 I 0.763 0.577 0.531
17 Tl 0.006 0.257 0.138
18 Ga 0.142 0.244 0.861
19 I 0.147 0.861 0.089
20 I 0.647 0.139 0.411
21 I 0.237 0.423 0.469
22 I 0.152 0.011 0.339
23 Tl 0.994 0.743 0.862
24 I 0.848 0.989 0.661

[12]
Compound: NdOs2
Source: Materials Project
Functional: r2SCAN
Structure: optimized geometry

Results
calculated formation energy	-0.168	eV/atom
total moment	0.00	μB per formula unit
density	15.46	g/cm3

Cell lengths 5.335, 5.335, 9.147 Å; angles 90.00, 90.00, 120.00 degrees
Positions (direct):
1 Nd 0.667 0.333 0.565
2 Os 0.000 0.000 0.000
3 Os 0.170 0.830 0.750
4 Nd 0.667 0.333 0.935
5 Os 0.000 0.000 0.500
6 Os 0.830 0.170 0.250
7 Os 0.339 0.170 0.250
8 Os 0.830 0.661 0.250
9 Nd 0.333 0.667 0.065
10 Os 0.661 0.830 0.750
11 Nd 0.333 0.667 0.435
12 Os 0.170 0.339 0.750